Record 1
A geometry-optimized CoB2O4 structure. Source: Materials Project, functional PBE+U.

## Properties
ΔH_f (0 K) = -54.7 kcal/mol of atoms

Cell and atoms, written as CIF:
```
data_CoB2O4
_space_group_name_H-M_alt 'P 1'
_space_group_IT_number 1
_cell_length_a 4.4563
_cell_length_b 5.5081
_cell_length_c 9.7357
_cell_angle_alpha 92.02
_cell_angle_beta 81.35
_cell_angle_gamma 74.59
loop_
_space_group_symop_operation_xyz
'x,y,z'
loop_
_atom_site_label
_atom_site_fract_x
_atom_site_fract_y
_atom_site_fract_z
_atom_site_occupancy
Co1 0.7500 0.3295 0.6705 1
Co2 0.2500 0.6705 0.3295 1
Co3 0.7500 0.8294 0.1706 1
Co4 0.2500 0.1706 0.8294 1
B1 0.1243 0.2264 0.1471 1
B2 0.1242 0.7263 0.6472 1
B3 0.3758 0.1661 0.4604 1
B4 0.3757 0.6662 0.9604 1
B5 0.8758 0.2737 0.3528 1
B6 0.8757 0.7736 0.8529 1
B7 0.6243 0.3338 0.0396 1
B8 0.6242 0.8339 0.5396 1
O1 0.4792 0.6090 0.1008 1
O2 0.4791 0.1089 0.6008 1
O3 0.0208 0.0443 0.2460 1
O4 0.0209 0.5443 0.7459 1
O5 0.5209 0.8911 0.3992 1
O6 0.5208 0.3910 0.8992 1
O7 0.9791 0.4557 0.2541 1
O8 0.9792 0.9557 0.7540 1
O9 0.4656 0.1658 0.1129 1
O10 0.4657 0.6656 0.6129 1
O11 0.0343 0.2478 0.4736 1
O12 0.0343 0.7478 0.9736 1
O13 0.5343 0.3344 0.3871 1
O14 0.5344 0.8342 0.8871 1
O15 0.9657 0.2522 0.0264 1
O16 0.9657 0.7522 0.5264 1
```

Record 2
A geometry-optimized CoBO3 structure. Source: Materials Project, functional PBE+U.

## Properties
ΔH_f (0 K) = -45.3 kcal/mol of atoms
Symmetry = P-1, No. 2

Cell and atoms, written as CIF:
```
data_CoBO3
_space_group_name_H-M_alt 'P 1'
_space_group_IT_number 1
_cell_length_a 4.9051
_cell_length_b 5.2666
_cell_length_c 5.6018
_cell_angle_alpha 88.52
_cell_angle_beta 109.81
_cell_angle_gamma 117.18
loop_
_space_group_symop_operation_xyz
'x,y,z'
loop_
_atom_site_label
_atom_site_fract_x
_atom_site_fract_y
_atom_site_fract_z
_atom_site_occupancy
Co1 0.9483 0.3598 0.7358 1
Co2 0.0517 0.6402 0.2642 1
B1 0.6421 0.7238 0.7418 1
B2 0.3579 0.2762 0.2582 1
O1 0.3073 0.6273 0.6355 1
O2 0.7625 0.5454 0.8689 1
O3 0.8562 0.9910 0.7125 1
O4 0.1438 0.0090 0.2875 1
O5 0.2375 0.4546 0.1311 1
O6 0.6927 0.3727 0.3645 1
```

Record 3
A geometry-optimized Co4B6O13 structure. Source: Materials Project, functional PBE+U.

## Properties
ΔH_f (0 K) = -54.2 kcal/mol of atoms
Symmetry = I-43m, No. 217
Piezoelectric modulus e_max = 0.139 C/m²

Cell and atoms, written as CIF:
```
data_Co4B6O13
_space_group_name_H-M_alt 'P 1'
_space_group_IT_number 1
_cell_length_a 6.5323
_cell_length_b 6.5330
_cell_length_c 6.5330
_cell_angle_alpha 70.55
_cell_angle_beta 70.52
_cell_angle_gamma 109.48
loop_
_space_group_symop_operation_xyz
'x,y,z'
loop_
_atom_site_label
_atom_site_fract_x
_atom_site_fract_y
_atom_site_fract_z
_atom_site_occupancy
Co1 0.0000 0.6929 0.9998 1
Co2 0.0000 0.0002 0.3071 1
Co3 0.6927 0.9999 0.0001 1
Co4 0.3073 0.3072 0.6928 1
B1 0.5000 0.7500 0.7500 1
B2 0.7501 0.5001 0.7500 1
B3 0.2499 0.5000 0.2500 1
B4 0.2499 0.7500 0.5000 1
B5 0.7501 0.2500 0.4999 1
B6 0.5000 0.2500 0.2500 1
O1 0.0000 0.0002 0.9998 1
O2 0.7238 0.9999 0.5581 1
O3 0.5579 0.2818 0.4421 1
O4 0.7181 0.2761 0.7239 1
O5 0.2762 0.7181 0.7239 1
O6 0.5579 0.5579 0.7182 1
O7 0.4421 0.7240 0.9999 1
O8 0.7238 0.4419 0.0001 1
O9 0.2819 0.5580 0.4420 1
O10 0.0000 0.7237 0.5581 1
O11 0.2762 0.2761 0.2819 1
O12 0.4421 0.0001 0.2760 1
O13 0.0000 0.4419 0.2763 1
```

Record 4
A geometry-optimized CoB4O7 structure. Source: Materials Project, functional PBE+U.

## Properties
ΔH_f (0 K) = -58.9 kcal/mol of atoms
Relative energy among the computed polymorphs = 55 meV per atom

Cell and atoms, written as CIF:
```
data_CoB4O7
_space_group_name_H-M_alt 'P 1'
_space_group_IT_number 1
_cell_length_a 6.3705
_cell_length_b 8.2334
_cell_length_c 8.2333
_cell_angle_alpha 78.61
_cell_angle_beta 111.55
_cell_angle_gamma 111.55
loop_
_space_group_symop_operation_xyz
'x,y,z'
loop_
_atom_site_label
_atom_site_fract_x
_atom_site_fract_y
_atom_site_fract_z
_atom_site_occupancy
Co1 0.2420 0.4961 0.7459 1
Co2 0.7580 0.5039 0.2541 1
Co3 0.2419 0.9959 0.2460 1
Co4 0.7581 0.0041 0.7540 1
B1 0.2970 0.1015 0.6015 1
B2 0.2970 0.6015 0.1015 1
B3 0.2969 0.3514 0.3515 1
B4 0.2971 0.8516 0.8515 1
B5 0.7030 0.8985 0.3985 1
B6 0.7030 0.3985 0.8985 1
B7 0.7029 0.1484 0.1485 1
B8 0.7031 0.6486 0.6485 1
B9 0.0751 0.7798 0.5296 1
B10 0.0750 0.2795 0.0297 1
B11 0.6906 0.3374 0.5875 1
B12 0.6908 0.8376 0.0874 1
B13 0.9249 0.2202 0.4704 1
B14 0.9250 0.7205 0.9703 1
B15 0.3094 0.6626 0.4125 1
B16 0.3092 0.1624 0.9126 1
O1 0.9209 0.3354 0.5855 1
O2 0.9211 0.8355 0.0855 1
O3 0.0791 0.6646 0.4145 1
O4 0.0789 0.1645 0.9145 1
O5 0.1954 0.2524 0.5025 1
O6 0.1955 0.7525 0.0024 1
O7 0.2450 0.0273 0.7772 1
O8 0.2451 0.5273 0.2773 1
O9 0.8046 0.7476 0.4975 1
O10 0.8045 0.2475 0.9976 1
O11 0.7550 0.9727 0.2228 1
O12 0.7549 0.4727 0.7227 1
O13 0.1890 0.9615 0.4842 1
O14 0.1890 0.4615 0.9842 1
O15 0.5542 0.1668 0.6441 1
O16 0.5543 0.6669 0.1441 1
O17 0.1890 0.7343 0.7115 1
O18 0.1890 0.2342 0.2115 1
O19 0.5542 0.3941 0.4169 1
O20 0.5543 0.8942 0.9168 1
O21 0.8110 0.0385 0.5158 1
O22 0.8110 0.5385 0.0158 1
O23 0.4458 0.8332 0.3559 1
O24 0.4457 0.3331 0.8559 1
O25 0.8110 0.2657 0.2885 1
O26 0.8110 0.7658 0.7885 1
O27 0.4458 0.6059 0.5831 1
O28 0.4457 0.1058 0.0832 1
```

Record 5
A geometry-optimized SmCoB5O10 structure. Source: Materials Project, functional PBE+U.

## Properties
ΔH_f (0 K) = -66.3 kcal/mol of atoms
Symmetry = P2_1/c, No. 14

Cell and atoms, written as CIF:
```
data_SmCoB5O10
_space_group_name_H-M_alt 'P 1'
_space_group_IT_number 1
_cell_length_a 7.6545
_cell_length_b 8.7463
_cell_length_c 9.4696
_cell_angle_alpha 86.99
_cell_angle_beta 90.00
_cell_angle_gamma 90.00
loop_
_space_group_symop_operation_xyz
'x,y,z'
loop_
_atom_site_label
_atom_site_fract_x
_atom_site_fract_y
_atom_site_fract_z
_atom_site_occupancy
Sm1 0.3135 0.3175 0.7376 1
Sm2 0.8135 0.1825 0.7624 1
Sm3 0.6865 0.6825 0.2624 1
Sm4 0.1865 0.8175 0.2376 1
Co1 0.0927 0.9007 0.6269 1
Co2 0.5927 0.5993 0.8731 1
Co3 0.9073 0.0993 0.3731 1
Co4 0.4073 0.4007 0.1269 1
B1 0.5777 0.0882 0.2615 1
B2 0.1862 0.5704 0.9144 1
B3 0.6862 0.9296 0.5856 1
B4 0.8138 0.4296 0.0856 1
B5 0.3138 0.0704 0.4144 1
B6 0.9041 0.6545 0.4992 1
B7 0.4041 0.8455 0.0008 1
B8 0.0959 0.3455 0.5008 1
B9 0.5959 0.1545 0.9992 1
B10 0.0777 0.4118 0.2385 1
B11 0.4223 0.9118 0.7385 1
B12 0.9223 0.5882 0.7615 1
B13 0.3268 0.5158 0.3928 1
B14 0.8268 0.9842 0.1072 1
B15 0.6732 0.4842 0.6072 1
B16 0.1732 0.0158 0.8928 1
B17 0.5331 0.2809 0.4472 1
B18 0.0331 0.2191 0.0528 1
B19 0.4669 0.7191 0.5528 1
B20 0.9669 0.7809 0.9472 1
O1 0.2150 0.5286 0.2634 1
O2 0.6528 0.5004 0.0683 1
O3 0.1528 0.9996 0.4317 1
O4 0.3472 0.4996 0.9317 1
O5 0.8472 0.0004 0.5683 1
O6 0.4552 0.7672 0.1205 1
O7 0.9552 0.7328 0.3795 1
O8 0.5448 0.2328 0.8795 1
O9 0.7150 0.9714 0.2366 1
O10 0.0448 0.2672 0.6205 1
O11 0.2850 0.0286 0.7634 1
O12 0.7850 0.4714 0.7366 1
O13 0.5331 0.1842 0.1310 1
O14 0.0331 0.3158 0.3690 1
O15 0.4669 0.8158 0.8690 1
O16 0.9669 0.6842 0.6310 1
O17 0.4133 0.0130 0.3079 1
O18 0.9133 0.4870 0.1921 1
O19 0.5867 0.9870 0.6921 1
O20 0.0867 0.5130 0.8079 1
O21 0.6500 0.1860 0.3678 1
O22 0.1500 0.3140 0.1322 1
O23 0.3500 0.8140 0.6322 1
O24 0.8500 0.6860 0.8678 1
O25 0.4760 0.4162 0.3553 1
O26 0.9760 0.0838 0.1447 1
O27 0.5240 0.5838 0.6447 1
O28 0.0240 0.9162 0.8553 1
O29 0.3918 0.6728 0.4152 1
O30 0.8918 0.8272 0.0848 1
O31 0.6082 0.3272 0.5848 1
O32 0.1263 0.6875 0.9920 1
O33 0.2247 0.4572 0.5149 1
O34 0.7247 0.0428 0.9851 1
O35 0.7753 0.5428 0.4851 1
O36 0.2753 0.9572 0.0149 1
O37 0.3737 0.1875 0.4920 1
O38 0.8737 0.3125 0.0080 1
O39 0.6263 0.8125 0.5080 1
O40 0.1082 0.1728 0.9152 1
```